VASP calculation (meta-GGA r2SCAN) on a relaxed Ce4GeS3 crystal.

Energy relative to the elements   -2.0248 eV/atom

Lattice parameters (Å, degrees): 5.906 5.906 11.823 90.00 90.00 90.00
Sites, in units of the cell vectors:
Ce1 0.000 0.000 0.249
Ce2 0.000 0.000 0.751
Ce3 0.000 0.500 0.000
Ce4 0.000 0.500 0.500
Ce5 0.500 0.000 0.000
Ce6 0.500 0.000 0.500
Ce7 0.500 0.500 0.251
Ce8 0.500 0.500 0.749
Ge1 0.000 0.000 0.500
Ge2 0.500 0.500 0.000
S1 0.000 0.000 0.000
S2 0.000 0.500 0.250
S3 0.000 0.500 0.750
S4 0.500 0.000 0.250
S5 0.500 0.000 0.750
S6 0.500 0.500 0.500